Record 1
This record from Materials Project describes crystalline Pr3CCl5 at its relaxed geometry. The functional is r2SCAN.

Lattice parameters (Å, degrees): 8.249 8.249 15.886 96.16 96.16 63.81
Fractional coordinates of all 36 atoms:
Pr 0.039 0.215 0.437
Pr 0.157 0.409 0.797
Pr 0.213 0.503 0.046
Pr 0.215 0.039 0.937
Pr 0.409 0.157 0.297
Pr 0.497 0.787 0.454
Pr 0.503 0.213 0.546
Pr 0.591 0.843 0.703
Pr 0.785 0.961 0.063
Pr 0.787 0.497 0.954
Pr 0.843 0.591 0.203
Pr 0.961 0.785 0.563
C 0.111 0.348 0.929
C 0.348 0.111 0.429
C 0.652 0.889 0.571
C 0.889 0.652 0.071
Cl 0.035 0.219 0.256
Cl 0.116 0.845 0.419
Cl 0.122 0.401 0.594
Cl 0.155 0.884 0.081
Cl 0.219 0.035 0.756
Cl 0.220 0.514 0.236
Cl 0.351 0.598 0.901
Cl 0.401 0.122 0.094
Cl 0.402 0.649 0.599
Cl 0.486 0.780 0.264
Cl 0.514 0.220 0.736
Cl 0.598 0.351 0.401
Cl 0.599 0.878 0.906
Cl 0.649 0.402 0.099
Cl 0.780 0.486 0.764
Cl 0.781 0.965 0.244
Cl 0.845 0.116 0.919
Cl 0.878 0.599 0.406
Cl 0.884 0.155 0.581
Cl 0.965 0.781 0.744

Formation enthalpy at 0 K (meV/atom): -2082

***

Record 2
This record from Materials Project describes crystalline CsCo2S2 at its relaxed geometry. The functional is r2SCAN.

Lattice parameters (Å, degrees): 3.766 3.766 14.736 90.00 90.00 90.00
Fractional coordinates of all 10 atoms:
Cs 0.000 0.000 0.000
Cs 0.500 0.500 0.500
Co 0.000 0.500 0.250
Co 0.000 0.500 0.750
Co 0.500 0.000 0.250
Co 0.500 0.000 0.750
S 0.000 0.000 0.343
S 0.000 0.000 0.657
S 0.500 0.500 0.157
S 0.500 0.500 0.843

Formation enthalpy at 0 K (meV/atom): -723

***

Record 3
This record from Materials Project describes crystalline Si3Ru4 at its relaxed geometry. The functional is r2SCAN.

Lattice parameters (Å, degrees): 5.184 4.013 17.134 90.00 90.00 90.00
Fractional coordinates of all 28 atoms:
Si 0.005 0.250 0.103
Si 0.124 0.750 0.310
Si 0.151 0.250 0.534
Si 0.349 0.750 0.034
Si 0.376 0.250 0.810
Si 0.495 0.750 0.603
Si 0.505 0.250 0.397
Si 0.624 0.750 0.190
Si 0.651 0.250 0.966
Si 0.849 0.750 0.466
Si 0.876 0.250 0.690
Si 0.995 0.750 0.897
Ru 0.009 0.250 0.393
Ru 0.154 0.750 0.764
Ru 0.159 0.750 0.164
Ru 0.173 0.250 0.970
Ru 0.327 0.750 0.470
Ru 0.341 0.250 0.664
Ru 0.346 0.250 0.264
Ru 0.491 0.750 0.893
Ru 0.509 0.250 0.107
Ru 0.654 0.750 0.736
Ru 0.659 0.750 0.336
Ru 0.673 0.250 0.530
Ru 0.827 0.750 0.030
Ru 0.841 0.250 0.836
Ru 0.846 0.250 0.236
Ru 0.991 0.750 0.607

Formation enthalpy at 0 K (meV/atom): -550

***

Record 4
This record from Materials Project describes crystalline TmAlGe at its relaxed geometry. The functional is r2SCAN.

Lattice parameters (Å, degrees): 3.996 10.280 5.680 90.00 90.00 90.00
Fractional coordinates of all 12 atoms:
Tm 0.000 0.190 0.250
Tm 0.000 0.810 0.750
Tm 0.500 0.310 0.750
Tm 0.500 0.690 0.250
Al 0.000 0.500 0.000
Al 0.000 0.500 0.500
Al 0.500 0.000 0.000
Al 0.500 0.000 0.500
Ge 0.000 0.107 0.750
Ge 0.000 0.893 0.250
Ge 0.500 0.393 0.250
Ge 0.500 0.607 0.750

Formation enthalpy at 0 K (meV/atom): -702

***

Number 1: electronic total energy -16.41 eV/atom. Number 2: electronic total energy -14.25 eV/atom. Number 3: electronic total energy -18.84 eV/atom. Number 4: electronic total energy -19.28 eV/atom.